(1)
TiS2 after structural relaxation. Source: the Materials Project database, functional PBE-GGA.

POSCAR file:
```
TiS2
1.0
2.9590 -1.7083 0.0000
2.9590 1.7083 0.0000
-2.2026 0.0000 17.1894
Ti S
2 4
Direct
0.0644 0.0644 0.1702 Ti
0.9356 0.9356 0.8298 Ti
0.3006 0.3006 0.9121 S
0.4275 0.4275 0.2528 S
0.5725 0.5725 0.7472 S
0.6994 0.6994 0.0879 S
```

Calculated values
- total energy (eV/f.u.) = -19.973
- space group = C2/m (12)
- E_form (meV/atom) = -1604
- E (MP2020) (eV per atom) = -6.99

***

(2)
K3HoSi2O7 after structural relaxation. Source: the Materials Project database, functional PBE-GGA.

POSCAR file:
```
K3HoSi2O7
1.0
9.9326 0.0000 0.0000
-4.9663 8.6018 0.0000
0.0000 0.0000 14.4651
K Ho Si O
18 6 12 42
Direct
0.0000 0.0000 0.0000 K
0.0000 0.0000 0.5000 K
0.0000 0.3319 0.0918 K
0.0000 0.3319 0.4082 K
0.0000 0.6681 0.5918 K
0.0000 0.6681 0.9082 K
0.3319 0.0000 0.0918 K
0.3319 0.0000 0.4082 K
0.3319 0.3319 0.5918 K
0.3319 0.3319 0.9082 K
0.3333 0.6667 0.2500 K
0.3333 0.6667 0.7500 K
0.6667 0.3333 0.2500 K
0.6667 0.3333 0.7500 K
0.6681 0.0000 0.5918 K
0.6681 0.0000 0.9082 K
0.6681 0.6681 0.0918 K
0.6681 0.6681 0.4082 K
0.0000 0.0000 0.2500 Ho
0.0000 0.0000 0.7500 Ho
0.3333 0.6667 0.0000 Ho
0.3333 0.6667 0.5000 Ho
0.6667 0.3333 0.0000 Ho
0.6667 0.3333 0.5000 Ho
0.0000 0.3418 0.6427 Si
0.0000 0.3418 0.8573 Si
0.0000 0.6582 0.1427 Si
0.0000 0.6582 0.3573 Si
0.3418 0.0000 0.6427 Si
0.3418 0.0000 0.8573 Si
0.3418 0.3418 0.1427 Si
0.3418 0.3418 0.3573 Si
0.6582 0.0000 0.1427 Si
0.6582 0.0000 0.3573 Si
0.6582 0.6582 0.6427 Si
0.6582 0.6582 0.8573 Si
0.0000 0.1770 0.6483 O
0.0000 0.1770 0.8517 O
0.0000 0.4086 0.7500 O
0.0000 0.5914 0.2500 O
0.0000 0.8230 0.1483 O
0.0000 0.8230 0.3517 O
0.1558 0.4777 0.5914 O
0.1558 0.4777 0.9086 O
0.1558 0.6781 0.0914 O
0.1558 0.6781 0.4086 O
0.1770 0.0000 0.6483 O
0.1770 0.0000 0.8517 O
0.1770 0.1770 0.1483 O
0.1770 0.1770 0.3517 O
0.3219 0.4777 0.0914 O
0.3219 0.4777 0.4086 O
0.3219 0.8442 0.5914 O
0.3219 0.8442 0.9086 O
0.4086 0.0000 0.7500 O
0.4086 0.4086 0.2500 O
0.4777 0.1558 0.5914 O
0.4777 0.1558 0.9086 O
0.4777 0.3219 0.0914 O
0.4777 0.3219 0.4086 O
0.5223 0.6781 0.5914 O
0.5223 0.6781 0.9086 O
0.5223 0.8442 0.0914 O
0.5223 0.8442 0.4086 O
0.5914 0.0000 0.2500 O
0.5914 0.5914 0.7500 O
0.6781 0.1558 0.0914 O
0.6781 0.1558 0.4086 O
0.6781 0.5223 0.5914 O
0.6781 0.5223 0.9086 O
0.8230 0.0000 0.1483 O
0.8230 0.0000 0.3517 O
0.8230 0.8230 0.6483 O
0.8230 0.8230 0.8517 O
0.8442 0.3219 0.5914 O
0.8442 0.3219 0.9086 O
0.8442 0.5223 0.0914 O
0.8442 0.5223 0.4086 O
```

Calculated values
- total energy (eV/f.u.) = -88.730
- space group = P6_3/mcm (193)
- total moment (μB per formula unit) = 0.00
- E_form (meV/atom) = -3088
- E (MP2020) (eV per atom) = -7.20

***

(3)
K2CeSi6O15 after structural relaxation. Source: the Materials Project database, functional PBE-GGA.

POSCAR file:
```
K2CeSi6O15
1.0
8.9357 -4.4189 0.0000
8.9357 4.4189 0.0000
-8.0669 0.0000 8.9018
K Ce Si O
4 2 12 30
Direct
0.0972 0.7460 0.9987 K
0.2540 0.9028 0.5013 K
0.7460 0.0972 0.4987 K
0.9028 0.2540 0.0013 K
0.1672 0.8328 0.7500 Ce
0.8328 0.1672 0.2500 Ce
0.0987 0.5734 0.3555 Si
0.1966 0.2535 0.8771 Si
0.2535 0.1966 0.3771 Si
0.3725 0.4365 0.2258 Si
0.4266 0.9013 0.1445 Si
0.4365 0.3725 0.7258 Si
0.5635 0.6275 0.2742 Si
0.5734 0.0987 0.8555 Si
0.6275 0.5635 0.7742 Si
0.7465 0.8034 0.6229 Si
0.8034 0.7465 0.1229 Si
0.9013 0.4266 0.6445 Si
0.0620 0.7576 0.4985 O
0.0782 0.4066 0.8014 O
0.0918 0.1235 0.7950 O
0.1235 0.0918 0.2950 O
0.1333 0.3945 0.3606 O
0.2251 0.3725 0.0554 O
0.2424 0.9380 0.0015 O
0.2725 0.5670 0.7566 O
0.2780 0.5313 0.3435 O
0.3725 0.2251 0.5554 O
0.3930 0.6070 0.2500 O
0.3945 0.1333 0.8606 O
0.4066 0.0782 0.3014 O
0.4330 0.7275 0.7434 O
0.4687 0.7220 0.1565 O
0.5313 0.2780 0.8435 O
0.5670 0.2725 0.2566 O
0.5934 0.9218 0.6986 O
0.6055 0.8667 0.1394 O
0.6070 0.3930 0.7500 O
0.6275 0.7749 0.4446 O
0.7220 0.4687 0.6565 O
0.7275 0.4330 0.2434 O
0.7576 0.0620 0.9985 O
0.7749 0.6275 0.9446 O
0.8667 0.6055 0.6394 O
0.8765 0.9082 0.7050 O
0.9082 0.8765 0.2050 O
0.9218 0.5934 0.1986 O
0.9380 0.2424 0.5015 O
```

Calculated values
- total energy (eV/f.u.) = -182.310
- space group = C2/c (15)
- total moment (μB per formula unit) = 0.00
- E_form (meV/atom) = -3237
- E (MP2020) (eV per atom) = -8.03

***

(4)
Y4CdNi after structural relaxation. Source: the Materials Project database, functional PBE-GGA.

POSCAR file:
```
Y4CdNi
1.0
0.0000 6.8079 6.8079
6.8079 0.0000 6.8079
6.8079 6.8079 0.0000
Y Cd Ni
16 4 4
Direct
0.1867 0.1867 0.8133 Y
0.1867 0.8133 0.1867 Y
0.1867 0.8133 0.8133 Y
0.4007 0.4007 0.4007 Y
0.4007 0.4007 0.7979 Y
0.4007 0.7979 0.4007 Y
0.5607 0.5607 0.9393 Y
0.5607 0.9393 0.5607 Y
0.5607 0.9393 0.9393 Y
0.7979 0.4007 0.4007 Y
0.8133 0.1867 0.1867 Y
0.8133 0.1867 0.8133 Y
0.8133 0.8133 0.1867 Y
0.9393 0.5607 0.5607 Y
0.9393 0.5607 0.9393 Y
0.9393 0.9393 0.5607 Y
0.1684 0.1684 0.1684 Cd
0.1684 0.1684 0.4948 Cd
0.1684 0.4948 0.1684 Cd
0.4948 0.1684 0.1684 Cd
0.1774 0.6075 0.6075 Ni
0.6075 0.1774 0.6075 Ni
0.6075 0.6075 0.1774 Ni
0.6075 0.6075 0.6075 Ni
```

Calculated values
- total energy (eV/f.u.) = -34.356
- space group = F-43m (216)
- E_form (meV/atom) = -298

***

(5)
Mn2Sn after structural relaxation. Source: the Materials Project database, functional PBE-GGA.

POSCAR file:
```
Mn2Sn
1.0
4.5078 0.0000 0.0000
-2.2539 3.9038 0.0000
0.0000 0.0000 5.4950
Mn Sn
4 2
Direct
0.0000 0.0000 0.0000 Mn
0.0000 0.0000 0.5000 Mn
0.3333 0.6667 0.2500 Mn
0.6667 0.3333 0.7500 Mn
0.3333 0.6667 0.7500 Sn
0.6667 0.3333 0.2500 Sn
```

Calculated values
- total energy (eV/f.u.) = -21.850
- space group = P6_3/mmc (194)
- total moment (μB per formula unit) = 6.03
- E_form (meV/atom) = 161

***

(6)
KDyH2C2SO9 after structural relaxation. Source: the Materials Project database, functional PBE-GGA.

POSCAR file:
```
KDyH2C2SO9
1.0
6.5971 0.0000 0.0000
0.0000 8.6515 0.0000
-5.5867 0.0000 13.7927
K Dy H C S O
4 4 8 8 4 36
Direct
0.0367 0.1551 0.3042 K
0.0367 0.3449 0.8042 K
0.9633 0.6551 0.1958 K
0.9633 0.8449 0.6958 K
0.3346 0.2386 0.5889 Dy
0.3346 0.2614 0.0889 Dy
0.6654 0.7386 0.9111 Dy
0.6654 0.7614 0.4111 Dy
0.0348 0.0447 0.9267 H
0.0348 0.4553 0.4267 H
0.2668 0.0311 0.9219 H
0.2668 0.4689 0.4219 H
0.7332 0.5311 0.5781 H
0.7332 0.9689 0.0781 H
0.9652 0.5447 0.5733 H
0.9652 0.9553 0.0733 H
0.3684 0.5292 0.7321 C
0.3684 0.9708 0.2321 C
0.4121 0.0338 0.7802 C
0.4121 0.4662 0.2802 C
0.5879 0.5338 0.7198 C
0.5879 0.9662 0.2198 C
0.6316 0.0292 0.7679 C
0.6316 0.4708 0.2679 C
0.2566 0.6629 0.0223 S
0.2566 0.8371 0.5223 S
0.7434 0.1629 0.4777 S
0.7434 0.3371 0.9777 S
0.0447 0.7293 0.9557 O
0.0447 0.7707 0.4557 O
0.1799 0.0937 0.9505 O
0.1799 0.4063 0.4505 O
0.2212 0.0566 0.1732 O
0.2212 0.4434 0.6732 O
0.2525 0.0087 0.5061 O
0.2525 0.4913 0.0061 O
0.2675 0.1233 0.7251 O
0.2675 0.3767 0.2251 O
0.2902 0.6953 0.1240 O
0.2902 0.8047 0.6240 O
0.3506 0.6073 0.8006 O
0.3506 0.8927 0.3006 O
0.3919 0.5557 0.3446 O
0.3919 0.9443 0.8446 O
0.4365 0.7329 0.9983 O
0.4365 0.7671 0.4983 O
0.5635 0.2329 0.5017 O
0.5635 0.2671 0.0017 O
0.6081 0.0557 0.1554 O
0.6081 0.4443 0.6554 O
0.6494 0.1073 0.6994 O
0.6494 0.3927 0.1994 O
0.7098 0.1953 0.3760 O
0.7098 0.3047 0.8760 O
0.7325 0.6233 0.7749 O
0.7325 0.8767 0.2749 O
0.7475 0.5087 0.9939 O
0.7475 0.9913 0.4939 O
0.7788 0.5566 0.3268 O
0.7788 0.9434 0.8268 O
0.8201 0.5937 0.5495 O
0.8201 0.9063 0.0495 O
0.9553 0.2293 0.5443 O
0.9553 0.2707 0.0443 O
```

Calculated values
- total energy (eV/f.u.) = -107.790
- space group = P2_1/c (14)
- total moment (μB per formula unit) = 0.00
- E_form (meV/atom) = -2147
- E (MP2020) (eV per atom) = -7.12

***

(7)
KCaN after structural relaxation. Source: the Materials Project database, functional PBE-GGA.

POSCAR file:
```
KCaN
1.0
7.6752 0.0000 0.0000
0.0000 4.3650 0.0000
0.0000 0.0000 6.9498
K Ca N
4 4 4
Direct
0.0470 0.2500 0.1525 K
0.4530 0.7500 0.6525 K
0.5470 0.2500 0.3475 K
0.9530 0.7500 0.8475 K
0.1444 0.2500 0.5874 Ca
0.3556 0.7500 0.0874 Ca
0.6444 0.2500 0.9126 Ca
0.8556 0.7500 0.4126 Ca
0.1723 0.7500 0.3917 N
0.3277 0.2500 0.8917 N
0.6723 0.7500 0.1083 N
0.8277 0.2500 0.6083 N
```

Calculated values
- total energy (eV/f.u.) = -11.882
- space group = Pnma (62)
- total moment (μB per formula unit) = 0.00
- E_form (meV/atom) = -264
- E (MP2020) (eV per atom) = -4.08

***

(8)
B5H7S after structural relaxation. Source: the Materials Project database, functional PBE-GGA.

POSCAR file:
```
B5H7S
1.0
7.7960 0.0000 0.0000
0.0000 12.6843 0.0000
-7.5694 0.0000 12.7291
B H S
40 56 8
Direct
0.0089 0.0911 0.3482 B
0.0089 0.4089 0.8482 B
0.0236 0.6391 0.2727 B
0.0236 0.8609 0.7727 B
0.1019 0.6804 0.1081 B
0.1019 0.8196 0.6081 B
0.1349 0.2498 0.2586 B
0.1349 0.2502 0.7586 B
0.1475 0.7379 0.7978 B
0.1475 0.7621 0.2978 B
0.1892 0.1692 0.4492 B
0.1892 0.3308 0.9492 B
0.2182 0.1349 0.3414 B
0.2182 0.3651 0.8414 B
0.2225 0.6520 0.2471 B
0.2225 0.8480 0.7471 B
0.2305 0.7206 0.7067 B
0.2305 0.7794 0.2067 B
0.2946 0.2422 0.8973 B
0.2946 0.2578 0.3973 B
0.7054 0.7422 0.6027 B
0.7054 0.7578 0.1027 B
0.7695 0.2206 0.7933 B
0.7695 0.2794 0.2933 B
0.7775 0.1520 0.2529 B
0.7775 0.3480 0.7529 B
0.7818 0.6349 0.1586 B
0.7818 0.8651 0.6586 B
0.8108 0.6692 0.0508 B
0.8108 0.8308 0.5508 B
0.8525 0.2379 0.7022 B
0.8525 0.2621 0.2022 B
0.8651 0.7498 0.2414 B
0.8651 0.7502 0.7414 B
0.8981 0.1804 0.3919 B
0.8981 0.3196 0.8919 B
0.9764 0.1391 0.2273 B
0.9764 0.3609 0.7273 B
0.9911 0.5911 0.1518 B
0.9911 0.9089 0.6518 B
0.0027 0.0019 0.3717 H
0.0027 0.4981 0.8717 H
0.0907 0.7155 0.6041 H
0.0907 0.7845 0.1041 H
0.1212 0.6596 0.7322 H
0.1212 0.8404 0.2322 H
0.1610 0.6573 0.0509 H
0.1610 0.8427 0.5509 H
0.1755 0.1714 0.8259 H
0.1755 0.3286 0.3259 H
0.1940 0.2218 0.7027 H
0.1940 0.2782 0.2027 H
0.2112 0.2269 0.9562 H
0.2112 0.2731 0.4562 H
0.2419 0.5527 0.4448 H
0.2419 0.9473 0.9448 H
0.2429 0.7012 0.8835 H
0.2429 0.7988 0.3835 H
0.2885 0.1380 0.5370 H
0.2885 0.3620 0.0370 H
0.3362 0.0723 0.3455 H
0.3362 0.4277 0.8455 H
0.3681 0.6696 0.7182 H
0.3681 0.8304 0.2182 H
0.4359 0.1048 0.2068 H
0.4359 0.3952 0.7068 H
0.4580 0.2065 0.9434 H
0.4580 0.2935 0.4434 H
0.5420 0.7065 0.5566 H
0.5420 0.7935 0.0566 H
0.5641 0.6048 0.2932 H
0.5641 0.8952 0.7932 H
0.6319 0.1696 0.7818 H
0.6319 0.3304 0.2818 H
0.6638 0.5723 0.1545 H
0.6638 0.9277 0.6545 H
0.7115 0.6380 0.9630 H
0.7115 0.8620 0.4630 H
0.7571 0.2012 0.6165 H
0.7571 0.2988 0.1165 H
0.7581 0.0527 0.0552 H
0.7581 0.4473 0.5552 H
0.7888 0.7269 0.5438 H
0.7888 0.7731 0.0438 H
0.8060 0.7218 0.7973 H
0.8060 0.7782 0.2973 H
0.8245 0.6714 0.6741 H
0.8245 0.8286 0.1741 H
0.8390 0.1573 0.4491 H
0.8390 0.3427 0.9491 H
0.8788 0.1596 0.7678 H
0.8788 0.3404 0.2678 H
0.9093 0.2155 0.8959 H
0.9093 0.2845 0.3959 H
0.9973 0.5019 0.1283 H
0.9973 0.9981 0.6283 H
0.0422 0.5575 0.3819 S
0.0422 0.9425 0.8819 S
0.4459 0.5664 0.3270 S
0.4459 0.9336 0.8270 S
0.5541 0.0664 0.1730 S
0.5541 0.4336 0.6730 S
0.9578 0.0575 0.1181 S
0.9578 0.4425 0.6181 S
```

Calculated values
- total energy (eV/f.u.) = -62.741
- space group = P2_1/c (14)
- total moment (μB per formula unit) = 0.01
- E_form (meV/atom) = -151
- E (MP2020) (eV per atom) = -4.86